Entry from the Materials Project database: Na2H16O9 after structural relaxation (meta-GGA r2SCAN).

Values from the calculation:
* total DFT energy (no corrections): -5.4609 eV per atom

Geometry as CIF:
```
data_Na2H16O9
_chemical_formula_sum 'Na8 H64 O36'
_cell_length_a 6.392
_cell_length_b 12.159
_cell_length_c 11.393
_cell_angle_alpha 90.00
_cell_angle_beta 102.77
_cell_angle_gamma 90.00
_symmetry_space_group_name_H-M 'P 1'
_symmetry_Int_Tables_number 1
loop_
_symmetry_equiv_pos_as_xyz
'x,y,z'
loop_
_atom_site_label
_atom_site_fract_x
_atom_site_fract_y
_atom_site_fract_z
Na1 0.074 0.183 0.102
Na2 0.074 0.317 0.602
Na3 0.095 0.708 0.165
Na4 0.095 0.792 0.665
Na5 0.905 0.208 0.335
Na6 0.905 0.292 0.835
Na7 0.926 0.683 0.398
Na8 0.926 0.817 0.898
H1 0.024 0.597 0.945
H2 0.024 0.903 0.445
H3 0.071 0.562 0.624
H4 0.071 0.938 0.124
H5 0.073 0.003 0.297
H6 0.073 0.497 0.797
H7 0.163 0.079 0.491
H8 0.163 0.421 0.991
H9 0.166 0.007 0.785
H10 0.166 0.493 0.285
H11 0.282 0.599 0.590
H12 0.282 0.663 0.883
H13 0.282 0.837 0.383
H14 0.282 0.901 0.090
H15 0.297 0.186 0.804
H16 0.297 0.314 0.304
H17 0.342 0.572 0.057
H18 0.342 0.928 0.557
H19 0.371 0.013 0.400
H20 0.371 0.191 0.326
H21 0.371 0.309 0.826
H22 0.371 0.487 0.900
H23 0.393 0.718 0.395
H24 0.393 0.782 0.895
H25 0.397 0.548 0.201
H26 0.397 0.952 0.701
H27 0.402 0.101 0.969
H28 0.402 0.399 0.469
H29 0.458 0.053 0.101
H30 0.458 0.447 0.601
H31 0.499 0.094 0.762
H32 0.499 0.406 0.262
H33 0.501 0.594 0.738
H34 0.501 0.906 0.238
H35 0.542 0.553 0.399
H36 0.542 0.947 0.899
H37 0.598 0.601 0.531
H38 0.598 0.899 0.031
H39 0.603 0.048 0.299
H40 0.603 0.452 0.799
H41 0.607 0.218 0.105
H42 0.607 0.282 0.605
H43 0.629 0.513 0.100
H44 0.629 0.691 0.174
H45 0.629 0.809 0.674
H46 0.629 0.987 0.600
H47 0.658 0.072 0.443
H48 0.658 0.428 0.943
H49 0.703 0.686 0.696
H50 0.703 0.814 0.196
H51 0.718 0.099 0.910
H52 0.718 0.163 0.617
H53 0.718 0.337 0.117
H54 0.718 0.401 0.410
H55 0.834 0.507 0.715
H56 0.834 0.993 0.215
H57 0.837 0.579 0.009
H58 0.837 0.921 0.509
H59 0.927 0.503 0.203
H60 0.927 0.997 0.703
H61 0.929 0.062 0.876
H62 0.929 0.438 0.376
H63 0.976 0.097 0.555
H64 0.976 0.403 0.055
O1 0.024 0.528 0.280
O2 0.024 0.972 0.780
O3 0.086 0.137 0.526
O4 0.086 0.363 0.026
O5 0.131 0.618 0.579
O6 0.131 0.882 0.079
O7 0.244 0.237 0.297
O8 0.244 0.263 0.797
O9 0.256 0.528 0.922
O10 0.256 0.972 0.422
O11 0.264 0.741 0.857
O12 0.264 0.759 0.357
O13 0.399 0.118 0.053
O14 0.399 0.382 0.553
O15 0.400 0.604 0.139
O16 0.400 0.896 0.639
O17 0.427 0.056 0.817
O18 0.427 0.444 0.317
O19 0.573 0.556 0.683
O20 0.573 0.944 0.183
O21 0.600 0.104 0.361
O22 0.600 0.396 0.861
O23 0.601 0.618 0.447
O24 0.601 0.882 0.947
O25 0.736 0.241 0.643
O26 0.736 0.259 0.143
O27 0.744 0.028 0.578
O28 0.744 0.472 0.078
O29 0.756 0.737 0.203
O30 0.756 0.763 0.703
O31 0.869 0.118 0.921
O32 0.869 0.382 0.421
O33 0.914 0.637 0.974
O34 0.914 0.863 0.474
O35 0.976 0.028 0.220
O36 0.976 0.472 0.720
```

Entry from the Materials Project database: NaH3SO5 after structural relaxation (meta-GGA r2SCAN).

Values from the calculation:
* total DFT energy (no corrections): -6.6426 eV per atom

Geometry as CIF:
```
data_NaH3SO5
_chemical_formula_sum 'Na2 H6 S2 O10'
_cell_length_a 5.445
_cell_length_b 5.445
_cell_length_c 7.902
_cell_angle_alpha 109.04
_cell_angle_beta 109.04
_cell_angle_gamma 89.62
_symmetry_space_group_name_H-M 'P 1'
_symmetry_Int_Tables_number 1
loop_
_symmetry_equiv_pos_as_xyz
'x,y,z'
loop_
_atom_site_label
_atom_site_fract_x
_atom_site_fract_y
_atom_site_fract_z
Na1 0.028 0.972 0.500
Na2 0.972 0.028 0.000
H1 0.038 0.641 0.712
H2 0.315 0.792 0.797
H3 0.337 0.424 0.492
H4 0.424 0.337 0.992
H5 0.641 0.038 0.212
H6 0.792 0.315 0.297
S1 0.398 0.633 0.247
S2 0.633 0.398 0.747
O1 0.129 0.815 0.752
O2 0.247 0.606 0.364
O3 0.307 0.370 0.072
O4 0.331 0.847 0.176
O5 0.370 0.307 0.572
O6 0.606 0.247 0.864
O7 0.639 0.678 0.839
O8 0.678 0.639 0.339
O9 0.815 0.129 0.252
O10 0.847 0.331 0.676
```

Entry from the Materials Project database: NaHSO4 after structural relaxation (meta-GGA r2SCAN).

Values from the calculation:
* total DFT energy (no corrections): -7.1979 eV per atom

Geometry as CIF:
```
data_NaHSO4
_chemical_formula_sum 'Na4 H4 S4 O16'
_cell_length_a 5.077
_cell_length_b 7.495
_cell_length_c 9.209
_cell_angle_alpha 90.00
_cell_angle_beta 112.65
_cell_angle_gamma 90.00
_symmetry_space_group_name_H-M 'P 1'
_symmetry_Int_Tables_number 1
loop_
_symmetry_equiv_pos_as_xyz
'x,y,z'
loop_
_atom_site_label
_atom_site_fract_x
_atom_site_fract_y
_atom_site_fract_z
Na1 0.012 0.005 0.296
Na2 0.012 0.495 0.796
Na3 0.988 0.505 0.204
Na4 0.988 0.995 0.704
H1 0.389 0.543 0.625
H2 0.389 0.957 0.125
H3 0.611 0.043 0.875
H4 0.611 0.457 0.375
S1 0.406 0.225 0.063
S2 0.406 0.275 0.563
S3 0.594 0.725 0.437
S4 0.594 0.775 0.937
O1 0.230 0.123 0.559
O2 0.230 0.377 0.059
O3 0.282 0.067 0.131
O4 0.282 0.433 0.631
O5 0.296 0.745 0.334
O6 0.296 0.755 0.834
O7 0.369 0.170 0.903
O8 0.369 0.330 0.403
O9 0.631 0.670 0.597
O10 0.631 0.830 0.097
O11 0.704 0.245 0.166
O12 0.704 0.255 0.666
O13 0.718 0.567 0.369
O14 0.718 0.933 0.869
O15 0.770 0.623 0.941
O16 0.770 0.877 0.441
```

Entry from the Materials Project database: Na2H4S3O12 after structural relaxation (meta-GGA r2SCAN).

Values from the calculation:
* total DFT energy (no corrections): -7.0561 eV per atom

Geometry as CIF:
```
data_Na2H4S3O12
_chemical_formula_sum 'Na8 H16 S12 O48'
_cell_length_a 9.879
_cell_length_b 6.898
_cell_length_c 13.780
_cell_angle_alpha 90.00
_cell_angle_beta 90.00
_cell_angle_gamma 90.00
_symmetry_space_group_name_H-M 'P 1'
_symmetry_Int_Tables_number 1
loop_
_symmetry_equiv_pos_as_xyz
'x,y,z'
loop_
_atom_site_label
_atom_site_fract_x
_atom_site_fract_y
_atom_site_fract_z
Na1 0.131 0.241 0.000
Na2 0.157 0.388 0.641
Na3 0.343 0.888 0.141
Na4 0.369 0.741 0.500
Na5 0.631 0.259 0.000
Na6 0.657 0.112 0.641
Na7 0.843 0.612 0.141
Na8 0.869 0.759 0.500
H1 0.046 0.077 0.411
H2 0.069 0.072 0.197
H3 0.183 0.686 0.844
H4 0.248 0.043 0.819
H5 0.252 0.543 0.319
H6 0.317 0.186 0.344
H7 0.431 0.572 0.697
H8 0.454 0.577 0.911
H9 0.546 0.423 0.411
H10 0.569 0.428 0.197
H11 0.683 0.814 0.844
H12 0.748 0.457 0.819
H13 0.752 0.957 0.319
H14 0.817 0.314 0.344
H15 0.931 0.928 0.697
H16 0.954 0.923 0.911
S1 0.080 0.708 0.978
S2 0.099 0.769 0.314
S3 0.141 0.871 0.665
S4 0.359 0.371 0.165
S5 0.401 0.269 0.814
S6 0.420 0.208 0.478
S7 0.580 0.792 0.978
S8 0.599 0.731 0.314
S9 0.641 0.629 0.665
S10 0.859 0.129 0.165
S11 0.901 0.231 0.814
S12 0.920 0.292 0.478
O1 0.011 0.635 0.266
O2 0.014 0.175 0.162
O3 0.038 0.864 0.398
O4 0.039 0.558 0.043
O5 0.044 0.225 0.421
O6 0.149 0.874 0.017
O7 0.159 0.915 0.249
O8 0.163 0.062 0.626
O9 0.170 0.603 0.903
O10 0.182 0.863 0.769
O11 0.199 0.714 0.610
O12 0.220 0.655 0.360
O13 0.280 0.155 0.860
O14 0.301 0.214 0.110
O15 0.318 0.363 0.269
O16 0.330 0.103 0.403
O17 0.337 0.562 0.126
O18 0.341 0.415 0.749
O19 0.351 0.374 0.517
O20 0.456 0.725 0.921
O21 0.461 0.058 0.543
O22 0.462 0.364 0.898
O23 0.486 0.675 0.662
O24 0.489 0.135 0.766
O25 0.511 0.865 0.266
O26 0.514 0.325 0.162
O27 0.538 0.636 0.398
O28 0.539 0.942 0.043
O29 0.544 0.275 0.421
O30 0.649 0.626 0.017
O31 0.659 0.585 0.249
O32 0.663 0.438 0.626
O33 0.670 0.897 0.903
O34 0.682 0.637 0.769
O35 0.699 0.786 0.610
O36 0.720 0.845 0.360
O37 0.780 0.345 0.860
O38 0.801 0.286 0.110
O39 0.818 0.137 0.269
O40 0.830 0.397 0.403
O41 0.837 0.938 0.126
O42 0.841 0.085 0.749
O43 0.851 0.126 0.517
O44 0.956 0.775 0.921
O45 0.961 0.442 0.543
O46 0.962 0.136 0.898
O47 0.986 0.825 0.662
O48 0.989 0.365 0.766
```

Entry from the Materials Project database: Na2ZnH4Se2O10 after structural relaxation (meta-GGA r2SCAN).

Values from the calculation:
* total DFT energy (no corrections): -7.4572 eV per atom

Geometry as CIF:
```
data_Na2ZnH4Se2O10
_chemical_formula_sum 'Na2 Zn1 H4 Se2 O10'
_cell_length_a 5.553
_cell_length_b 5.909
_cell_length_c 7.113
_cell_angle_alpha 108.16
_cell_angle_beta 98.82
_cell_angle_gamma 107.83
_symmetry_space_group_name_H-M 'P 1'
_symmetry_Int_Tables_number 1
loop_
_symmetry_equiv_pos_as_xyz
'x,y,z'
loop_
_atom_site_label
_atom_site_fract_x
_atom_site_fract_y
_atom_site_fract_z
Na1 0.160 0.281 0.253
Na2 0.840 0.719 0.747
Zn1 0.500 0.000 0.500
H1 0.355 0.874 0.108
H2 0.419 0.848 0.799
H3 0.581 0.152 0.201
H4 0.645 0.126 0.892
Se1 0.171 0.339 0.740
Se2 0.829 0.661 0.260
O1 0.102 0.769 0.451
O2 0.152 0.172 0.886
O3 0.214 0.641 0.873
O4 0.418 0.344 0.633
O5 0.429 0.039 0.228
O6 0.571 0.961 0.772
O7 0.582 0.656 0.367
O8 0.786 0.359 0.127
O9 0.848 0.828 0.114
O10 0.898 0.231 0.549
```

Entry from the Materials Project database: NaH2Pd3 after structural relaxation (meta-GGA r2SCAN).

Values from the calculation:
* total DFT energy (no corrections): -13.4196 eV per atom

Geometry as CIF:
```
data_NaH2Pd3
_chemical_formula_sum 'Na1 H2 Pd3'
_cell_length_a 5.154
_cell_length_b 5.154
_cell_length_c 2.814
_cell_angle_alpha 90.00
_cell_angle_beta 90.00
_cell_angle_gamma 113.49
_symmetry_space_group_name_H-M 'P 1'
_symmetry_Int_Tables_number 1
loop_
_symmetry_equiv_pos_as_xyz
'x,y,z'
loop_
_atom_site_label
_atom_site_fract_x
_atom_site_fract_y
_atom_site_fract_z
Na1 0.000 0.000 0.000
H1 0.284 0.716 0.000
H2 0.716 0.284 0.000
Pd1 0.000 0.500 0.500
Pd2 0.500 0.000 0.500
Pd3 0.500 0.500 0.000
```